No. 1
{"formula": "Tm6GaNi2", "functional": "GGA-PBE", "state": "relaxed", "cell": [[-4.628, -4.658, 4.870], [-4.628, 4.658, -4.870], [4.628, -4.658, -4.870]], "species": ["Tm", "Tm", "Ga", "Ni", "Tm", "Tm", "Tm", "Tm", "Tm", "Ni", "Tm", "Tm", "Ga", "Tm", "Tm", "Ni", "Ni", "Tm"], "fractional_positions": [[0.803, 0.480, 0.677], [0.399, 0.217, 0.182], [0.500, 0.500, 0.000], [0.144, 0.500, 0.644], [0.301, 0.263, 0.564], [0.197, 0.520, 0.323], [0.965, 0.783, 0.182], [0.803, 0.126, 0.323], [0.035, 0.217, 0.818], [0.856, 0.500, 0.356], [0.197, 0.874, 0.677], [0.601, 0.783, 0.818], [0.500, 0.000, 0.500], [0.699, 0.263, 0.962], [0.301, 0.737, 0.038], [0.000, 0.122, 0.122], [0.000, 0.878, 0.878], [0.699, 0.737, 0.436]], "vol_a3_per_atom": 23.33, "ef_ev_per_atom": -0.390, "spacegroup": "Immm (71)", "crystal_system": "orthorhombic"}



No. 2
{"formula": "PrScSi", "functional": "GGA-PBE", "state": "relaxed", "cell": [[-2.155, 2.155, 8.012], [2.155, -2.155, 8.012], [2.155, 2.155, -8.012]], "species": ["Pr", "Si", "Si", "Pr", "Sc", "Sc"], "fractional_positions": [[0.676, 0.676, 0.000], [0.120, 0.120, 0.000], [0.880, 0.880, 0.000], [0.324, 0.324, 0.000], [0.000, 0.500, 0.500], [0.500, 0.000, 0.500]], "vol_a3_per_atom": 24.82, "magnetic_moment_mub_per_cell": 1.8, "polymorph_energy_mev_per_atom": 0, "ef_ev_per_atom": -0.585, "spacegroup": "I4/mmm (139)", "crystal_system": "tetragonal"}



No. 3
{"formula": "LiTl2Pd", "functional": "GGA-PBE", "state": "relaxed", "cell": [[0.000, 3.428, 3.428], [3.428, 0.000, 3.428], [3.428, 3.428, 0.000]], "species": ["Li", "Tl", "Tl", "Pd"], "fractional_positions": [[0.500, 0.500, 0.500], [0.750, 0.750, 0.750], [0.250, 0.250, 0.250], [0.000, 0.000, 0.000]], "vol_a3_per_atom": 20.13, "ef_ev_per_atom": -0.245, "spacegroup": "Fm-3m (225)", "crystal_system": "cubic"}



No. 4
{"formula": "MnFePt2", "functional": "GGA-PBE", "state": "relaxed", "cell": [[2.661, 0.000, 0.000], [0.000, 2.661, 0.000], [0.000, 0.000, 7.447]], "species": ["Pt", "Mn", "Fe", "Pt"], "fractional_positions": [[0.500, 0.500, 0.749], [0.000, 0.000, 0.500], [0.000, 0.000, 0.000], [0.500, 0.500, 0.251]], "vol_a3_per_atom": 13.18, "magnetic_moment_mub_per_cell": 5.9, "ef_ev_per_atom": -0.154, "spacegroup": "P4/mmm (123)", "crystal_system": "tetragonal"}



No. 5
{"formula": "Tl2FeCu3Te4", "functional": "GGA-PBE", "state": "relaxed", "cell": [[3.984, 0.000, 0.000], [0.000, 3.984, 0.000], [0.000, 0.000, 15.866]], "species": ["Cu", "Tl", "Fe", "Te", "Tl", "Te", "Cu", "Te", "Te", "Cu"], "fractional_positions": [[0.500, 0.000, 0.750], [0.500, 0.500, 0.503], [0.000, 0.500, 0.250], [0.000, 0.000, 0.642], [0.000, 0.000, 0.997], [0.500, 0.500, 0.143], [0.000, 0.500, 0.750], [0.000, 0.000, 0.357], [0.500, 0.500, 0.858], [0.500, 0.000, 0.250]], "vol_a3_per_atom": 25.19, "magnetic_moment_mub_per_cell": 3.3, "polymorph_energy_mev_per_atom": 11, "ef_ev_per_atom": -0.282, "spacegroup": "P-4m2 (115)", "crystal_system": "tetragonal"}



No. 6
{"formula": "Mo3Os2", "functional": "GGA-PBE", "state": "relaxed", "cell": [[0.000, 0.000, 4.978], [9.674, -0.010, 0.000], [-0.010, 9.674, 0.000]], "species": ["Mo", "Os", "Os", "Mo", "Mo", "Mo", "Os", "Os", "Os", "Os", "Os", "Mo", "Mo", "Os", "Mo", "Mo", "Mo", "Mo", "Os", "Mo", "Os", "Mo", "Mo", "Mo", "Mo", "Os", "Os", "Mo", "Mo", "Mo"], "fractional_positions": [[0.751, 0.319, 0.681], [0.498, 0.236, 0.434], [0.002, 0.932, 0.264], [0.001, 0.535, 0.868], [0.500, 0.962, 0.369], [0.499, 0.896, 0.104], [0.250, 0.681, 0.319], [0.002, 0.264, 0.932], [0.250, 0.319, 0.681], [0.498, 0.434, 0.236], [0.499, 0.500, 0.500], [0.500, 0.631, 0.038], [0.001, 0.132, 0.465], [0.498, 0.764, 0.566], [0.001, 0.465, 0.132], [0.999, 0.603, 0.603], [0.999, 0.397, 0.397], [0.500, 0.038, 0.631], [0.002, 0.736, 0.068], [0.250, 0.182, 0.182], [0.002, 0.068, 0.736], [0.250, 0.818, 0.818], [0.499, 0.104, 0.896], [0.748, 0.819, 0.819], [0.001, 0.868, 0.535], [0.002, 0.000, 0.000], [0.498, 0.566, 0.764], [0.751, 0.681, 0.319], [0.500, 0.369, 0.962], [0.748, 0.181, 0.181]], "vol_a3_per_atom": 15.53, "magnetic_moment_mub_per_cell": 0.0, "ef_ev_per_atom": 0.014, "spacegroup": "Cmm2 (35)", "crystal_system": "orthorhombic"}



No. 7
{"formula": "Sr3Sn4Bi", "functional": "GGA-PBE", "state": "relaxed", "cell": [[-1.713, -8.883, 0.833], [4.412, -0.215, 7.938], [-6.792, 5.885, -1.324]], "species": ["Sr", "Sr", "Bi", "Sn", "Sn", "Sn", "Sn", "Sr", "Bi", "Sn", "Sr", "Sn", "Sr", "Sr", "Sn", "Sn"], "fractional_positions": [[0.337, 0.163, 0.500], [0.837, 0.337, 0.174], [0.000, 0.000, 0.000], [0.170, 0.670, 0.216], [0.830, 0.330, 0.784], [0.546, 0.046, 0.216], [0.330, 0.546, 0.500], [0.163, 0.663, 0.826], [0.500, 0.500, 0.000], [0.454, 0.954, 0.784], [0.663, 0.837, 0.500], [0.046, 0.830, 0.500], [0.750, 0.750, 0.000], [0.250, 0.250, 0.000], [0.670, 0.454, 0.500], [0.954, 0.170, 0.500]], "vol_a3_per_atom": 32.94, "ef_ev_per_atom": -0.601, "spacegroup": "I4/mcm (140)", "crystal_system": "tetragonal"}



No. 8
{"formula": "NaSm2Se3", "functional": "GGA-PBE", "state": "relaxed", "cell": [[-2.085, 2.954, 6.327], [2.085, -2.954, 6.327], [2.085, 2.954, -6.327]], "species": ["Sm", "Se", "Se", "Sm", "Na", "Se"], "fractional_positions": [[0.664, 0.664, 0.000], [0.169, 0.669, 0.500], [0.831, 0.331, 0.500], [0.336, 0.336, 0.000], [0.000, 0.000, 0.000], [0.500, 0.000, 0.500]], "vol_a3_per_atom": 25.98, "ef_ev_per_atom": -1.963, "spacegroup": "Immm (71)", "crystal_system": "orthorhombic"}



No. 9
{"formula": "Ge4Ir", "functional": "GGA-PBE", "state": "relaxed", "cell": [[3.150, -5.455, 0.000], [3.150, 5.455, 0.000], [0.000, 0.000, 7.894]], "species": ["Ir", "Ge", "Ir", "Ge", "Ge", "Ge", "Ge", "Ge", "Ge", "Ge", "Ge", "Ge", "Ir", "Ge", "Ge"], "fractional_positions": [[0.000, 0.318, 0.167], [0.921, 0.921, 0.000], [0.318, 0.000, 0.833], [0.382, 0.382, 0.000], [0.000, 0.079, 0.667], [0.618, 0.000, 0.333], [0.513, 0.735, 0.781], [0.487, 0.221, 0.553], [0.265, 0.779, 0.114], [0.000, 0.618, 0.667], [0.735, 0.513, 0.219], [0.779, 0.265, 0.886], [0.682, 0.682, 0.500], [0.221, 0.487, 0.447], [0.079, 0.000, 0.333]], "vol_a3_per_atom": 18.09, "ef_ev_per_atom": -0.175, "spacegroup": "P3_121 (152)", "crystal_system": "trigonal"}



No. 10
{"formula": "BaZnBi4O8", "functional": "GGA-PBE", "state": "relaxed", "cell": [[0.422, 4.128, -4.700], [-2.317, -5.728, -1.058], [-6.848, 2.481, 1.564]], "species": ["O", "Bi", "O", "Bi", "Bi", "Bi", "Zn", "O", "Ba", "O", "O", "O", "O", "O"], "fractional_positions": [[0.667, 0.333, 0.000], [0.667, 0.333, 0.717], [0.278, 0.000, 0.304], [0.333, 0.667, 0.283], [0.333, 0.667, 0.717], [0.667, 0.333, 0.283], [0.000, 0.000, 0.500], [0.722, 0.722, 0.304], [0.000, 0.000, 0.000], [0.333, 0.667, 0.000], [0.722, 0.000, 0.696], [0.000, 0.278, 0.304], [0.000, 0.722, 0.696], [0.278, 0.278, 0.696]], "vol_a3_per_atom": 18.11, "magnetic_moment_mub_per_cell": 0.0, "ef_ev_per_atom": -1.645, "spacegroup": "P-31m (162)", "crystal_system": "trigonal"}



No. 11
{"formula": "Mg6Si5", "functional": "GGA-PBE", "state": "relaxed", "cell": [[5.344, 0.000, 0.000], [-0.011, 6.286, 0.000], [-2.638, -1.346, 13.071]], "species": ["Mg", "Si", "Mg", "Mg", "Si", "Mg", "Mg", "Si", "Si", "Si", "Mg", "Si", "Si", "Si", "Mg", "Mg", "Si", "Mg", "Mg", "Si", "Mg", "Mg"], "fractional_positions": [[0.615, 0.464, 0.427], [0.949, 0.792, 0.503], [0.166, 0.209, 0.511], [0.835, 0.633, 0.673], [0.122, 0.968, 0.797], [0.708, 0.135, 0.649], [0.872, 0.202, 0.079], [0.781, 0.453, 0.240], [0.313, 0.841, 0.654], [0.625, 0.032, 0.431], [0.281, 0.521, 0.192], [0.652, 0.085, 0.256], [0.367, 0.466, 0.680], [0.111, 0.532, 0.386], [0.671, 0.427, 0.875], [0.127, 0.924, 0.313], [0.288, 0.937, 0.132], [0.184, 0.681, 0.953], [0.319, 0.205, 0.985], [0.122, 0.354, 0.798], [0.659, 0.914, 0.866], [0.732, 0.723, 0.093]], "vol_a3_per_atom": 19.96, "magnetic_moment_mub_per_cell": 0.0, "polymorph_energy_mev_per_atom": 58, "ef_ev_per_atom": 0.091, "spacegroup": "P1 (1)", "crystal_system": "triclinic"}



Which formula does entry 3 have? LiTl2Pd